{"formula": "Rb2LiPuCl4O2", "functional": "GGA-PBE", "state": "optimized geometry", "relative_energy_ev_per_fu": 0.62, "mass_density_g_cm3": 3.507, "ef_ev_per_atom": -2.19, "e_tot_ev_per_atom": -5.595, "cell": [[-2.4313, -3.7472, 2.6130], [-1.5373, -3.0779, -7.2193], [5.1938, -4.9115, -3.5856]], "species": ["Cl", "Cl", "Cl", "Cl", "Pu", "Rb", "Rb", "O", "O", "Li"], "frac_coords": [[0.7236, 0.8872, 0.3202], [0.2764, 0.1128, 0.6798], [0.2764, 0.6798, 0.1128], [0.7236, 0.3202, 0.8872], [0.5000, 0.5000, 0.5000], [0.7803, 0.7841, 0.7841], [0.2197, 0.2159, 0.2159], [0.2843, 0.5945, 0.5945], [0.7157, 0.4055, 0.4055], [0.5000, 0.0000, 0.0000]]}